## HfNiAs (PBE)

Data for HfNiAs after structural relaxation.

Output
* E: -7.594 eV per atom
* energy of formation from the pure elements: -0.795 eV per atom

Structure (CIF):
```
data_HfNiAs
_space_group_name_H-M_alt 'P n m a'
_space_group_IT_number 62
_cell_length_a 6.4559
_cell_length_b 3.8617
_cell_length_c 7.2893
_cell_angle_alpha 90.00
_cell_angle_beta 90.00
_cell_angle_gamma 90.00
loop_
_space_group_symop_operation_xyz
'x,y,z'
'-x,-y,-z'
'-x+1/2,-y,z+1/2'
'x+1/2,y,-z+1/2'
'x+1/2,-y+1/2,-z+1/2'
'-x+1/2,y+1/2,z+1/2'
'-x,y+1/2,-z'
'x,-y+1/2,z'
loop_
_atom_site_label
_atom_site_type_symbol
_atom_site_fract_x
_atom_site_fract_y
_atom_site_fract_z
Hf1 Hf 0.0116 0.2500 0.1889
Ni1 Ni 0.1708 0.2500 0.5775
As1 As 0.2146 0.7500 0.3969
```